A plane-wave DFT calculation with PBE+U was carried out for crystalline V2Fe3P6WO24 at its relaxed geometry.

Summary:
Its formation energy is -2.4070 eV per atom. The theoretical density comes out at 3.72 g/cm³. As for the space group: R3.

Cell lengths 8.6214, 8.6214, 8.6214 Å; angles 60.39, 60.39, 60.39 degrees
Fractional positions:
V 0.0023 0.0023 0.0023
V 0.5005 0.5005 0.5005
Fe 0.3560 0.3560 0.3560
Fe 0.1455 0.1455 0.1455
Fe 0.6440 0.6440 0.6440
P 0.4514 0.7476 0.0458
P 0.7476 0.0458 0.4514
P 0.0458 0.4514 0.7476
P 0.9555 0.5374 0.2559
P 0.2559 0.9555 0.5374
P 0.5374 0.2559 0.9555
W 0.8569 0.8569 0.8569
O 0.6821 0.8893 0.4993
O 0.8893 0.4993 0.6821
O 0.4993 0.6821 0.8893
O 0.2613 0.9118 0.0586
O 0.6117 0.8192 0.0009
O 0.4460 0.5886 0.2394
O 0.9118 0.0586 0.2613
O 0.5886 0.2394 0.4460
O 0.9952 0.3877 0.1845
O 0.2394 0.4460 0.5886
O 0.9348 0.7392 0.0898
O 0.1845 0.9952 0.3877
O 0.8192 0.0009 0.6117
O 0.0586 0.2613 0.9118
O 0.7592 0.5601 0.4112
O 0.0009 0.6117 0.8192
O 0.4112 0.7592 0.5601
O 0.0898 0.9348 0.7392
O 0.5601 0.4112 0.7592
O 0.3877 0.1845 0.9952
O 0.7392 0.0898 0.9348
O 0.5077 0.3093 0.1144
O 0.1144 0.5077 0.3093
O 0.3093 0.1144 0.5077